1.
Computed, not measured: K2NbAgS2 after structural relaxation at the GGA-PBE level of DFT.

Total energy after the MP2020 corrections: -4.35 eV per atom
Energy of formation from the pure elements: -440.8 meV per atom
E_tot: -4.178 eV per atom
V: 33.2 A^3/atom

Unit cell a=7.6314 b=9.6661 c=43.2417 alpha=90.00 beta=90.00 gamma=90.00
Last column: nearest neighbours and their distance in Å.
Space group Fddd (No. 70, origin choice 2)
Asymmetric unit:
K 0.1091 0.3291 0.4288 (multiplicity 32)  2 S 3.07-3.27, 1 Ag 3.35
Nb 0.0000 0.0000 0.0000 (multiplicity 16)  2 S 2.46
Ag 0.0000 0.0000 0.5000 (multiplicity 16)  2 S 2.34
S 0.0520 0.3168 0.5384 (multiplicity 32)  1 Ag 2.34, 1 Nb 2.46

2.
Computed, not measured: KNpAgS3 after structural relaxation at the GGA-PBE level of DFT.

Total energy after the MP2020 corrections: -6.21 eV per atom
Energy of formation from the pure elements: -1331.1 meV per atom
E_tot: -5.963 eV per atom
V: 25.1 A^3/atom

Unit cell a=4.0967 b=14.1364 c=10.4171 alpha=90.00 beta=90.00 gamma=90.00
Last column: nearest neighbours and their distance in Å.
Space group Cmcm (No. 63)
Asymmetric unit:
K 0.0000 0.2394 0.2500 (multiplicity 4)  8 S 3.24-3.58
Np 0.0000 0.5000 0.0000 (multiplicity 4)  6 S 2.73-2.75
Ag 0.0000 0.0469 0.7500 (multiplicity 4)  4 S 2.47-2.56
S 0.0000 0.1242 0.5373 (multiplicity 8)  1 Ag 2.47, 2 Np 2.73
S 0.0000 0.4382 0.7500 (multiplicity 4)  2 Ag 2.56, 2 Np 2.75

3.
Computed, not measured: KAgO2 after structural relaxation at the GGA-PBE level of DFT.

Total energy after the MP2020 corrections: -4.48 eV per atom
Energy of formation from the pure elements: -1020.2 meV per atom
E_tot: -4.136 eV per atom
V: 20.9 A^3/atom

Unit cell a=6.8467 b=8.7606 c=5.9035 alpha=90.00 beta=109.21 gamma=90.00
Last column: nearest neighbours and their distance in Å.
Space group C2/c (No. 15)
Asymmetric unit:
K 0.0000 0.1407 0.2500 (multiplicity 4)  6 O 2.75-3.00
Ag 0.0000 0.5000 0.0000 (multiplicity 4)  4 O 2.04
O 0.2061 0.4481 0.3286 (multiplicity 8)  2 Ag 2.04

4.
Computed, not measured: K3AgO2 after structural relaxation at the GGA-PBE level of DFT.

Total energy after the MP2020 corrections: -3.87 eV per atom
Energy of formation from the pure elements: -1189.7 meV per atom
E_tot: -3.637 eV per atom
V: 22.8 A^3/atom

Unit cell a=12.5122 b=12.5417 c=13.9216 alpha=90.00 beta=90.00 gamma=90.00
Last column: nearest neighbours and their distance in Å.
Space group P2_12_12_1 (No. 19)
Asymmetric unit:
K 0.0009 0.2112 0.2272 (multiplicity 4)  3 O 2.72-2.86
K 0.0130 0.5014 0.5702 (multiplicity 4)  4 O 2.65-2.93
K 0.0137 0.7053 0.9948 (multiplicity 4)  3 O 2.72-2.85
K 0.0249 0.7770 0.5024 (multiplicity 4)  3 O 2.74-2.88
K 0.0494 0.7474 0.7558 (multiplicity 4)  4 O 2.71-2.89
K 0.0657 0.9230 0.1323 (multiplicity 4)  2 O 2.60-2.68
K 0.1942 0.1962 0.8638 (multiplicity 4)  2 O 2.54
K 0.2054 0.2992 0.6486 (multiplicity 4)  2 O 2.55-2.64
K 0.2099 0.0117 0.5102 (multiplicity 4)  3 O 2.76-2.85
K 0.2192 0.4796 0.9924 (multiplicity 4)  4 O 2.79-2.93
K 0.2350 0.4618 0.2553 (multiplicity 4)  4 O 2.81-3.11
K 0.2417 0.9604 0.7634 (multiplicity 4)  3 O 2.71-2.85
Ag 0.0006 0.9897 0.3528 (multiplicity 4)  2 O 2.04
Ag 0.0022 0.4953 0.8288 (multiplicity 4)  2 O 2.04-2.06
Ag 0.2286 0.2358 0.0967 (multiplicity 4)  2 O 2.04-2.07
Ag 0.2342 0.2564 0.4171 (multiplicity 4)  2 O 2.05-2.06
O 0.1140 0.1115 0.6723 (multiplicity 4)  1 Ag 2.06
O 0.1162 0.1187 0.0704 (multiplicity 4)  1 Ag 2.07
O 0.1161 0.6025 0.1405 (multiplicity 4)  1 Ag 2.04
O 0.1166 0.3791 0.8262 (multiplicity 4)  1 Ag 2.04
O 0.1194 0.8794 0.3375 (multiplicity 4)  1 Ag 2.04
O 0.1206 0.3725 0.4370 (multiplicity 4)  1 Ag 2.05
O 0.1481 0.8585 0.9133 (multiplicity 4)  1 Ag 2.06
O 0.1562 0.6500 0.6108 (multiplicity 4)  1 Ag 2.04